Version a
# ScAlCO

A relaxed ScAlCO crystal (PBE-GGA, the Materials Project).

- SG = P6_3mc
- size of the total moment (μB per atom) = 0.00
- maximum piezoelectric response (C/m2) = 1.9

Unit cell a=3.2632 b=3.2632 c=10.2364 alpha=90.00 beta=90.00 gamma=120.00
Sites, in units of the cell vectors:
Sc1 0.3333 0.6667 0.0000
Sc2 0.6667 0.3333 0.5000
Al1 0.0000 0.0000 0.2159
Al2 0.0000 0.0000 0.7159
C1 0.3333 0.6667 0.6378
C2 0.6667 0.3333 0.1378
O1 0.0000 0.0000 0.3931
O2 0.0000 0.0000 0.8931


Version b
# ScAlCO

A relaxed ScAlCO crystal (PBE-GGA, the Materials Project).

- SG = R-3m

Unit cell a=10.2707 b=10.2707 c=10.2707 alpha=18.42 beta=18.42 gamma=18.42
Sites, in units of the cell vectors:
Sc1 0.0000 0.0000 0.0000
Sc2 0.5000 0.5000 0.5000
Al1 0.2386 0.2386 0.2386
Al2 0.7614 0.7614 0.7614
C1 0.1184 0.1184 0.1184
C2 0.8816 0.8816 0.8816
O1 0.2999 0.2999 0.2999
O2 0.7001 0.7001 0.7001


Decreasing stability: version a, version b